First-principles (PBE with a Hubbard U) data for crystalline Li4Mn3P3O12F at its relaxed geometry, as listed in the Materials Project.

Summary:
The calculation puts the piezoelectric modulus e_max at 0.13 C/m2. The final energy is -158.93 eV per formula unit. As for the magnetization: 30.00 μB/cell. The value obtained for the energy of formation is -2608 meV per atom.

Unit cell a=8.5048 b=8.5048 c=8.5048 alpha=90.00 beta=90.00 gamma=90.00
Sites, in units of the cell vectors:
Li  0.1424  0.1424  0.1424
Li  0.1424  0.8576  0.8576
Li  0.3576  0.3576  0.6424
Li  0.3576  0.6424  0.3576
Li  0.6424  0.3576  0.3576
Li  0.6424  0.6424  0.6424
Li  0.8576  0.1424  0.8576
Li  0.8576  0.8576  0.1424
Mn  0.0000  0.5000  0.2500
Mn  0.0000  0.5000  0.7500
Mn  0.2500  0.0000  0.5000
Mn  0.5000  0.2500  0.0000
Mn  0.5000  0.7500  0.0000
Mn  0.7500  0.0000  0.5000
P  0.0000  0.2500  0.5000
P  0.0000  0.7500  0.5000
P  0.2500  0.5000  0.0000
P  0.5000  0.0000  0.2500
P  0.5000  0.0000  0.7500
P  0.7500  0.5000  0.0000
O  0.1179  0.3513  0.5968
O  0.1179  0.6487  0.4032
O  0.0968  0.1487  0.3821
O  0.0968  0.8513  0.6179
O  0.1487  0.3821  0.0968
O  0.1487  0.6179  0.9032
O  0.3513  0.4032  0.8821
O  0.3513  0.5968  0.1179
O  0.4032  0.1179  0.6487
O  0.4032  0.8821  0.3513
O  0.3821  0.0968  0.1487
O  0.3821  0.9032  0.8513
O  0.6179  0.0968  0.8513
O  0.6179  0.9032  0.1487
O  0.5968  0.8821  0.6487
O  0.5968  0.1179  0.3513
O  0.6487  0.5968  0.8821
O  0.6487  0.4032  0.1179
O  0.8513  0.3821  0.9032
O  0.8513  0.6179  0.0968
O  0.9032  0.1487  0.6179
O  0.9032  0.8513  0.3821
O  0.8821  0.3513  0.4032
O  0.8821  0.6487  0.5968
F  0.0000  0.0000  0.0000
F  0.5000  0.5000  0.5000

First-principles (PBE with a Hubbard U) data for crystalline Cr3P4O16 at its relaxed geometry, as listed in the Materials Project.

Summary:
The final energy is -165.85 eV per formula unit. As for the polymorph energy (0 for the lowest one): 33.7 meV per atom. As for the magnetization: 12.00 μB/cell. The value obtained for the energy of formation is -2307 meV per atom.

Unit cell a=7.7556 b=7.5891 c=10.2106 alpha=85.33 beta=90.00 gamma=90.00
Sites, in units of the cell vectors:
Cr  0.4783  0.7657  0.6279
Cr  0.9783  0.2343  0.3721
Cr  0.8593  0.6506  0.6743
Cr  0.3593  0.3494  0.3257
Cr  0.5118  0.7599  0.1277
Cr  0.0118  0.2401  0.8723
P  0.8100  0.0550  0.1347
P  0.2949  0.9484  0.3500
P  0.1796  0.4537  0.1028
P  0.2027  0.4399  0.6104
P  0.7027  0.5601  0.3896
P  0.6796  0.5463  0.8972
P  0.3100  0.9450  0.8653
P  0.7949  0.0516  0.6500
O  0.3175  0.8620  0.2216
O  0.4489  0.0914  0.8406
O  0.6329  0.9851  0.0970
O  0.8685  0.4967  0.8365
O  0.3766  0.8020  0.9680
O  0.8755  0.4751  0.3659
O  0.6522  0.7090  0.2888
O  0.8766  0.1980  0.0320
O  0.7996  0.1367  0.2701
O  0.1935  0.3609  0.9757
O  0.9489  0.9086  0.1594
O  0.1418  0.3129  0.2244
O  0.5591  0.3925  0.9162
O  0.6935  0.6391  0.0243
O  0.0591  0.6075  0.0838
O  0.3755  0.5249  0.6341
O  0.6418  0.6871  0.7756
O  0.6113  0.9895  0.6220
O  0.5577  0.4202  0.4074
O  0.2039  0.3561  0.4688
O  0.8645  0.1728  0.5363
O  0.4181  0.1215  0.3372
O  0.9181  0.8785  0.6628
O  0.1522  0.2910  0.7112
O  0.3685  0.5033  0.1635
O  0.0577  0.5798  0.5926
O  0.1113  0.0105  0.3780
O  0.7039  0.6439  0.5312
O  0.3645  0.8272  0.4637
O  0.1329  0.0149  0.9030
O  0.8175  0.1380  0.7784
O  0.2996  0.8633  0.7299

First-principles (PBE with a Hubbard U) data for crystalline MnOF at its relaxed geometry, as listed in the Materials Project.

Summary:
The final energy is -20.07 eV per formula unit. As for the magnetization: 8.00 μB/cell. The value obtained for the energy of formation is -2287 meV per atom.

Unit cell a=3.7605 b=6.9348 c=3.2166 alpha=90.00 beta=90.01 gamma=90.00
Sites, in units of the cell vectors:
Mn  0.2500  0.1411  0.7500
Mn  0.7500  0.8589  0.2500
O  0.2500  0.9271  0.2500
O  0.7500  0.0729  0.7500
F  0.2500  0.3137  0.2500
F  0.7500  0.6863  0.7500

First-principles (PBE with a Hubbard U) data for crystalline Li4Y3MnO8 at its relaxed geometry, as listed in the Materials Project.

Summary:
The final energy is -115.44 eV per formula unit. As for the magnetization: 0.00 μB/cell. The value obtained for the energy of formation is -2926 meV per atom.

Unit cell a=8.6500 b=8.6498 c=10.4581 alpha=90.00 beta=90.00 gamma=89.99
Sites, in units of the cell vectors:
Li  0.2500  0.2500  0.0000
Li  0.7500  0.7500  0.0000
Li  0.0000  0.5000  0.5000
Li  0.5000  0.0000  0.5000
Li  0.0000  0.0000  0.5000
Li  0.5000  0.5000  0.5000
Li  0.7500  0.2500  0.0000
Li  0.2500  0.7500  0.0000
Li  0.5027  0.2527  0.7500
Li  0.0027  0.7527  0.7500
Li  0.2527  0.5027  0.2500
Li  0.7527  0.0027  0.2500
Li  0.2473  0.9973  0.2500
Li  0.7473  0.4973  0.2500
Li  0.9973  0.2473  0.7500
Li  0.4973  0.7473  0.7500
Y  0.5000  0.0000  0.0000
Y  0.0000  0.5000  0.0000
Y  0.2500  0.2500  0.5000
Y  0.7500  0.7500  0.5000
Y  0.2536  0.5036  0.7500
Y  0.7536  0.0036  0.7500
Y  0.0036  0.7536  0.2500
Y  0.5036  0.2536  0.2500
Y  0.9964  0.2464  0.2500
Y  0.4964  0.7464  0.2500
Y  0.7464  0.4964  0.7500
Y  0.2464  0.9964  0.7500
Mn  0.5000  0.5000  0.0000
Mn  0.2500  0.7500  0.5000
Mn  0.0000  0.0000  0.0000
Mn  0.7500  0.2500  0.5000
O  0.2500  0.2500  0.7140
O  0.7500  0.7500  0.7140
O  0.0000  0.5000  0.2140
O  0.5000  0.0000  0.2140
O  0.2500  0.2500  0.2860
O  0.7500  0.7500  0.2860
O  0.0000  0.5000  0.7860
O  0.5000  0.0000  0.7860
O  0.0001  0.0000  0.2214
O  0.5001  0.5000  0.2214
O  0.7501  0.2500  0.7214
O  0.2501  0.7500  0.7214
O  0.5000  0.4999  0.7786
O  0.0000  0.9999  0.7786
O  0.2500  0.7499  0.2786
O  0.7500  0.2499  0.2786
O  0.2497  0.5148  0.5191
O  0.7497  0.0148  0.5191
O  0.9997  0.7648  0.0191
O  0.4997  0.2648  0.0191
O  0.2647  0.4997  0.9810
O  0.7647  0.9997  0.9810
O  0.0147  0.7497  0.4810
O  0.5147  0.2497  0.4810
O  0.0003  0.2352  0.0190
O  0.5003  0.7352  0.0190
O  0.7503  0.4852  0.5190
O  0.2503  0.9852  0.5190
O  0.9852  0.2503  0.4809
O  0.4852  0.7503  0.4809
O  0.7352  0.5003  0.9809
O  0.2352  0.0003  0.9809

First-principles (PBE with a Hubbard U) data for crystalline Li9Mn7O16 at its relaxed geometry, as listed in the Materials Project.

Summary:
The final energy is -206.09 eV per formula unit. As for the polymorph energy (0 for the lowest one): 10.8 meV per atom. As for the magnetization: 26.00 μB/cell. The value obtained for the energy of formation is -2134 meV per atom.

Unit cell a=5.3021 b=10.4189 c=6.0864 alpha=103.55 beta=69.33 gamma=84.30
Sites, in units of the cell vectors:
Li  0.5063  0.1198  0.9264
Li  0.5014  0.3768  0.3147
Li  0.4986  0.6232  0.6853
Li  0.4937  0.8802  0.0736
Li  0.5047  0.1218  0.4443
Li  0.5028  0.3722  0.8103
Li  0.4972  0.6278  0.1897
Li  0.4953  0.8782  0.5557
Li  0.0000  0.0000  0.5000
Mn  0.0000  0.0000  0.0000
Mn  0.0034  0.7538  0.6279
Mn  0.9966  0.2462  0.3721
Mn  0.0023  0.4988  0.7495
Mn  0.0050  0.7545  0.1351
Mn  0.9950  0.2455  0.8649
Mn  0.9977  0.5012  0.2505
O  0.2315  0.0683  0.7398
O  0.2173  0.3167  0.1043
O  0.2331  0.5668  0.4914
O  0.2386  0.8227  0.8704
O  0.2083  0.0647  0.2002
O  0.2369  0.3158  0.6113
O  0.2311  0.5716  0.9930
O  0.2250  0.8069  0.3512
O  0.7614  0.1773  0.1296
O  0.7669  0.4332  0.5086
O  0.7827  0.6833  0.8957
O  0.7685  0.9317  0.2602
O  0.7750  0.1931  0.6488
O  0.7689  0.4284  0.0070
O  0.7631  0.6842  0.3887
O  0.7917  0.9353  0.7998

First-principles (PBE with a Hubbard U) data for crystalline MnHgO3 at its relaxed geometry, as listed in the Materials Project.

Summary:
The final energy is -25.81 eV per formula unit. As for the magnetization: 3.43 μB/cell. The value obtained for the energy of formation is -1046 meV per atom.

Unit cell a=3.8865 b=3.8865 c=3.8865 alpha=90.00 beta=90.00 gamma=90.00
Sites, in units of the cell vectors:
Mn  0.5000  0.5000  0.5000
Hg  0.0000  0.0000  0.0000
O  0.5000  0.5000  0.0000
O  0.5000  0.0000  0.5000
O  0.0000  0.5000  0.5000

First-principles (PBE with a Hubbard U) data for crystalline Li8Mn5Fe3B8O24 at its relaxed geometry, as listed in the Materials Project.

Summary:
The final energy is -344.16 eV per formula unit. As for the polymorph energy (0 for the lowest one): 2.5 meV per atom. As for the magnetization: 37.00 μB/cell. The value obtained for the energy of formation is -2439 meV per atom.

Unit cell a=5.2459 b=6.0432 c=16.2176 alpha=81.77 beta=89.25 gamma=89.01
Sites, in units of the cell vectors:
Li  0.8484  0.0665  0.3899
Li  0.1505  0.4339  0.1110
Li  0.6515  0.1881  0.8583
Li  0.3492  0.3129  0.6408
Li  0.6489  0.6859  0.3586
Li  0.3504  0.8122  0.1417
Li  0.8469  0.5646  0.8899
Li  0.1513  0.9342  0.6091
Mn  0.6693  0.2701  0.0411
Mn  0.1668  0.0231  0.7899
Mn  0.3306  0.2279  0.4591
Mn  0.6685  0.7719  0.5413
Mn  0.3321  0.7255  0.9606
Fe  0.1689  0.5290  0.2882
Fe  0.8385  0.4747  0.7096
Fe  0.8355  0.9680  0.2121
B  0.3292  0.0396  0.2959
B  0.8304  0.2854  0.5488
B  0.6716  0.4615  0.2041
B  0.1698  0.2154  0.9522
B  0.8317  0.7846  0.0490
B  0.3292  0.5381  0.7963
B  0.1677  0.7154  0.4511
B  0.6704  0.9629  0.7027
O  0.5896  0.0147  0.3074
O  0.1836  0.1724  0.3433
O  0.7114  0.1718  0.4914
O  0.2878  0.3311  0.0093
O  0.7869  0.0810  0.7591
O  0.8153  0.3274  0.1569
O  0.3191  0.0820  0.9054
O  0.0906  0.2635  0.5610
O  0.4094  0.4858  0.1931
O  0.9099  0.2373  0.9389
O  0.6826  0.4174  0.5967
O  0.2064  0.4247  0.7393
O  0.7923  0.5804  0.2597
O  0.3136  0.5828  0.4031
O  0.0919  0.7624  0.0620
O  0.5891  0.5139  0.8075
O  0.9073  0.7380  0.4388
O  0.6839  0.9162  0.0968
O  0.1823  0.6688  0.8446
O  0.2077  0.9236  0.2393
O  0.7138  0.6709  0.9915
O  0.2883  0.8292  0.5081
O  0.8199  0.8280  0.6567
O  0.4105  0.9856  0.6890

First-principles (PBE with a Hubbard U) data for crystalline MgMn2O4 at its relaxed geometry, as listed in the Materials Project.

Summary:
The final energy is -49.28 eV per formula unit. As for the polymorph energy (0 for the lowest one): 105.5 meV per atom. As for the magnetization: 16.00 μB/cell. The value obtained for the energy of formation is -2236 meV per atom.

Unit cell a=5.8170 b=6.0846 c=6.1138 alpha=118.36 beta=117.74 gamma=91.13
Sites, in units of the cell vectors:
Mg  0.0000  0.0000  0.0000
Mg  0.0000  0.5000  0.5000
Mn  0.5000  0.0000  0.0000
Mn  0.5000  0.0000  0.5000
Mn  0.0000  0.0000  0.5000
Mn  0.5000  0.5000  0.0000
O  0.7698  0.8082  0.0698
O  0.2470  0.7575  0.9652
O  0.7543  0.2114  0.4959
O  0.2402  0.2167  0.4887
O  0.2457  0.7886  0.5041
O  0.7530  0.2425  0.0348
O  0.7598  0.7833  0.5113
O  0.2302  0.1918  0.9302